Entry 1:
Below is a relaxed K9Mg3Nb5P8O40 crystal, with properties calculated at the GGA-PBE level.

- final energy (eV for the cell shown) = -427.93
- energy of formation from the pure elements (eV per atom) = -1.967
- SG = P1, No. 1

a b c (Å): 6.8688 7.0254 25.2451
angles (deg): 87.32 86.94 89.68
With the nearest neighbours (Å) after each atom.
Element x y z (fractional)
K 0.0000 0.0000 0.0000  2 O 2.58-2.80
K 0.0006 0.7212 0.4725  3 O 2.54-2.80
K 0.1254 0.1621 0.3876  3 O 2.55-2.76
K 0.3425 0.6576 0.6214  3 O 2.72-2.92
K 0.3597 0.2627 0.7769  3 O 2.63-2.72
K 0.4118 0.7717 0.0925  3 O 2.52-2.67
K 0.4887 0.3804 0.2686  4 O 2.69-2.93
K 0.7510 0.4282 0.8915  2 O 2.44-2.64
K 0.8623 0.6488 0.5829  2 O 2.48-2.69
Mg 0.0009 0.6451 0.3367  3 O 1.93-2.08
Mg 0.2547 0.2912 0.1120  4 O 1.95-2.01
Mg 0.3343 0.8142 0.8490  3 O 1.99-2.04
Nb 0.0461 0.6991 0.7758  4 O 1.81-2.01
Nb 0.1621 0.2010 0.5779  3 O 1.84-1.94
Nb 0.4513 0.4801 0.4617  2 O 1.79-1.80
Nb 0.8500 0.3977 0.7041  3 O 1.81-2.01
Nb 0.9289 0.5162 0.2081  3 O 1.78-1.89
P 0.4609 0.9742 0.9412  3 O 1.50-1.56
P 0.5236 0.9805 0.4628  3 O 1.50-1.54
P 0.6402 0.9285 0.7168  2 O 1.51-1.56
P 0.6484 0.9746 0.3782  2 O 1.49-1.52
P 0.6772 0.0887 0.5856  2 O 1.53-1.54
P 0.6828 0.1399 0.1031  3 O 1.48-1.52
P 0.7327 0.9353 0.8503  3 O 1.61-1.71
P 0.9831 0.9685 0.2391  3 O 1.48-1.50
O 0.0695 0.9207 0.2913  1 P 1.50
O 0.0793 0.5214 0.9672  1 O 1.24
O 0.0917 0.5527 0.7100  2 Nb 2.00-2.01
O 0.0933 0.2609 0.6472  1 Nb 1.85
O 0.1329 0.9507 0.5609  1 Nb 1.84
O 0.1484 0.0518 0.0899  1 Mg 1.95
O 0.1594 0.4268 0.1755  1 Nb 1.87, 1 Mg 1.98
O 0.1591 0.9317 0.7756  1 Nb 1.81
O 0.1852 0.5155 0.9261  1 O 1.24
O 0.1900 0.5353 0.4030  1 O 1.52
O 0.1982 0.4177 0.5278  1 Nb 1.94
O 0.2299 0.4843 0.3455  1 O 1.52
O 0.2295 0.5786 0.8186  1 Nb 1.88, 1 Mg 2.01
O 0.2647 0.9609 0.9129  1 P 1.56
O 0.3194 0.4615 0.0490  1 Mg 1.98
O 0.4003 0.8003 0.4590  1 P 1.54
O 0.4017 0.1631 0.4628  1 P 1.53
O 0.4552 0.8844 0.9965  1 P 1.50
O 0.4705 0.1751 0.5844  1 P 1.54
O 0.4972 0.1617 0.1375  1 P 1.52
O 0.5222 0.0256 0.3334  1 P 1.49
O 0.5606 0.1645 0.9329  1 P 1.51
O 0.5628 0.9462 0.8078  1 P 1.63
O 0.5944 0.8240 0.9009  2 P 1.71-1.73
O 0.6117 0.5262 0.5134  1 Nb 1.79
O 0.6254 0.4568 0.4068  1 Nb 1.80
O 0.6745 0.5199 0.6633  1 Nb 1.81
O 0.7023 0.9713 0.4948  1 P 1.50
O 0.7060 0.4884 0.1769  1 Nb 1.78
O 0.7100 0.1379 0.7047  1 P 1.56
O 0.7538 0.2948 0.0651  1 P 1.48
O 0.7718 0.4340 0.7729  1 Nb 1.82
O 0.7745 0.9471 0.1071  1 P 1.49
O 0.8198 0.8064 0.7236  1 P 1.51
O 0.8249 0.8440 0.3751  1 P 1.52
O 0.8368 0.2378 0.5736  1 P 1.53
O 0.8500 0.7437 0.8360  1 P 1.61
O 0.8697 0.5208 0.2820  1 Nb 1.89, 1 Mg 1.93
O 0.8963 0.1570 0.2263  1 P 1.48
O 0.9827 0.8138 0.2000  1 P 1.50

Entry 2:
Below is a relaxed K2Nd2MgS4O16 crystal, with properties calculated at the GGA-PBE level.

- final energy (eV for the cell shown) = -157.02
- energy of formation from the pure elements (eV per atom) = -2.358
- energy relative to the lowest polymorph listed for this composition (eV/atom) = 0.000
- SG = P1, No. 1

a b c (Å): 5.7942 7.0963 10.8362
angles (deg): 83.77 74.72 88.93
With the nearest neighbours (Å) after each atom.
Element x y z (fractional)
K 0.0000 0.0000 0.0000  5 O 2.77-3.07
K 0.3775 0.6435 0.3114  4 O 2.68-2.92
Nd 0.1821 0.5499 0.7481  6 O 2.35-2.57
Nd 0.8321 0.1255 0.3838  6 O 2.35-2.49
Mg 0.5442 0.3340 0.8952  2 O 2.03-2.06
S 0.2005 0.0647 0.6256  4 O 1.48-1.50
S 0.3716 0.1213 0.2099  4 O 1.48-1.51
S 0.7829 0.6094 0.5052  4 O 1.48-1.50
S 0.8919 0.5093 0.0442  4 O 1.47-1.56
O 0.0337 0.0450 0.5439  1 S 1.49
O 0.1186 0.6215 0.9821  1 S 1.51
O 0.1394 0.2380 0.6921  1 S 1.48
O 0.1663 0.8977 0.7261  1 S 1.50
O 0.1700 0.9802 0.2316  1 S 1.51
O 0.2745 0.2781 0.2879  1 S 1.48
O 0.4506 0.0750 0.5447  1 S 1.48
O 0.4540 0.1806 0.0702  1 S 1.48
O 0.5549 0.6304 0.6041  1 S 1.48
O 0.5748 0.0276 0.2528  1 S 1.50
O 0.6901 0.6379 0.0803  1 S 1.47
O 0.7636 0.4372 0.4400  1 S 1.50
O 0.8145 0.7757 0.4063  1 S 1.48
O 0.8635 0.4013 0.9314  1 S 1.56
O 0.9121 0.3681 0.1504  1 S 1.47
O 0.9904 0.5923 0.5613  1 S 1.48

Entry 3:
Below is a relaxed K2Nd2MgS4O16 crystal, with properties calculated at the GGA-PBE level.

- final energy (eV for the cell shown) = -156.52
- energy of formation from the pure elements (eV per atom) = -2.337
- energy relative to the lowest polymorph listed for this composition (eV/atom) = 0.020
- SG = P1, No. 1

a b c (Å): 5.5476 7.1356 9.8806
angles (deg): 99.87 90.27 93.68
With the nearest neighbours (Å) after each atom.
Element x y z (fractional)
K 0.0000 0.0000 0.0000  4 O 2.66-2.97
K 0.4619 0.6221 0.7202  5 O 2.72-2.98
Nd 0.5243 0.4980 0.1011  8 O 2.41-2.57
Nd 0.9063 0.0906 0.5498  6 O 2.50-2.64
Mg 0.4391 0.8102 0.4416  3 O 2.14-2.25
S 0.0248 0.5645 0.3855  4 O 1.46-1.52
S 0.4729 0.1407 0.7551  4 O 1.48-1.50
S 0.5077 0.0448 0.2423  4 O 1.48-1.50
S 0.9820 0.5042 0.9163  4 O 1.46-1.51
O 0.0027 0.4146 0.7725  1 S 1.46
O 0.0142 0.4130 0.4686  1 S 1.46
O 0.0583 0.7558 0.4803  1 S 1.52
O 0.2100 0.6219 0.9659  1 S 1.50
O 0.2415 0.0213 0.7218  1 S 1.50
O 0.2546 0.5602 0.3018  1 S 1.52
O 0.3011 0.0201 0.3357  1 S 1.50
O 0.4407 0.2771 0.8838  1 S 1.48
O 0.4464 0.1807 0.1503  1 S 1.49
O 0.5350 0.2459 0.6391  1 S 1.50
O 0.5461 0.8562 0.1557  1 S 1.49
O 0.6793 0.0204 0.7706  1 S 1.50
O 0.7337 0.1170 0.3200  1 S 1.48
O 0.7788 0.6372 0.9334  1 S 1.51
O 0.8123 0.5576 0.2940  1 S 1.48
O 0.9253 0.3670 0.0127  1 S 1.50

Entry 4:
Below is a relaxed K2Nd2MgS4O16 crystal, with properties calculated at the GGA-PBE level.

- final energy (eV for the cell shown) = -156.82
- energy of formation from the pure elements (eV per atom) = -2.350
- energy relative to the lowest polymorph listed for this composition (eV/atom) = 0.008
- SG = P1, No. 1

a b c (Å): 5.4683 8.4699 9.8502
angles (deg): 104.63 91.82 90.06
With the nearest neighbours (Å) after each atom.
Element x y z (fractional)
K 0.0000 0.0000 0.0000  3 O 2.88-3.13
K 0.4851 0.8390 0.5842  7 O 2.76-3.04
Nd 0.0079 0.2591 0.6522  6 O 2.31-2.50
Nd 0.4687 0.4515 0.2140  6 O 2.33-2.50
Mg 0.4913 0.6605 0.8898  3 O 2.50-2.67
S 0.4864 0.2115 0.8337  4 O 1.48-1.50
S 0.4916 0.1049 0.3845  4 O 1.45-1.50
S 0.9878 0.6069 0.4827  4 O 1.46-1.50
S 0.9919 0.4928 0.0374  4 O 1.48-1.51
O 0.0166 0.4979 0.5798  1 S 1.49
O 0.0335 0.3568 0.1072  1 S 1.50
O 0.2035 0.5806 0.3898  1 S 1.50
O 0.2157 0.6014 0.0720  1 S 1.51
O 0.2629 0.1058 0.7895  1 S 1.50
O 0.2829 0.1351 0.4832  1 S 1.50
O 0.4483 0.3612 0.7803  1 S 1.50
O 0.4524 0.2068 0.2811  1 S 1.50
O 0.5054 0.9327 0.3143  1 S 1.45
O 0.5201 0.2520 0.9885  1 S 1.48
O 0.7058 0.1215 0.7690  1 S 1.49
O 0.7209 0.1645 0.4693  1 S 1.50
O 0.7573 0.5585 0.3963  1 S 1.50
O 0.7668 0.5839 0.0921  1 S 1.49
O 0.9606 0.4346 0.8835  1 S 1.48
O 0.9790 0.7778 0.5610  1 S 1.46

> What is the energy of formation from the pure elements in the fourth record?

-2.350 eV per atom

> Look up the energy of formation from the pure elements of the second one.

-2.358 eV per atom